TbCr2Si2: optimized geometry, GGA-PBE.

abc: 6.0089 6.0089 6.0089
angles: 142.55 142.55 54.00
Sites, in units of the cell vectors:
Si: 0.6159 0.6159 0.0000
Si: 0.3841 0.3841 0.0000
Tb: 0.0000 0.0000 0.0000
Cr: 0.7500 0.2500 0.5000
Cr: 0.2500 0.7500 0.5000

Computed properties:
Formation energy: -0.39 eV/atom
Total magnetic moment: 1.03 μB per cell